Below is a geometry-optimized Li3Mn4B4O12 structure, with properties calculated at the PBE with a Hubbard U level. Values from VASP.

## Properties
SG: P1
Excess energy over the best structure of this formula in the dataset in kcal/mol of atoms: 0.25

Cell and atoms, written as Quantum ESPRESSO input:
```
&SYSTEM
  ibrav = 0, nat = 46, ntyp = 4
/
ATOMIC_SPECIES
Li 6.94 Li.upf
Mn 54.94 Mn.upf
B 10.81 B.upf
O 16.00 O.upf
CELL_PARAMETERS angstrom
5.271 0.000 0.000
0.007 9.147 0.000
2.467 4.174 10.381
ATOMIC_POSITIONS angstrom
Li 0.000 0.000 0.000
Li 0.744 1.409 2.558
Li 2.419 4.526 5.163
Li 5.121 8.803 10.283
Li 5.014 9.082 5.100
Li 5.966 10.424 7.922
Mn 0.705 7.412 2.853
Mn 2.445 10.589 5.503
Mn 3.304 8.706 7.989
Mn 2.596 7.731 0.288
Mn 3.314 3.075 2.878
Mn 5.077 5.967 5.474
Mn 5.981 4.414 8.089
Mn 5.196 3.067 0.251
B 2.468 7.462 5.436
B 3.318 11.825 8.272
B 2.508 1.573 0.387
B 3.349 9.162 2.848
B 5.052 2.909 5.594
B 5.994 7.373 8.018
B 5.227 6.109 0.231
B 5.914 4.457 3.088
O 0.621 7.263 0.699
O 2.603 3.806 8.493
O 3.179 9.169 10.269
O 2.739 10.701 7.693
O 1.159 1.407 0.572
O 1.978 4.518 3.259
O 3.148 8.624 5.801
O 3.098 6.259 5.482
O 2.588 10.255 3.277
O 2.649 8.106 2.229
O 3.745 3.057 5.161
O 4.703 11.785 8.672
O 3.125 2.791 0.670
O 5.771 4.679 10.310
O 5.344 8.570 8.192
O 5.354 6.282 7.398
O 3.859 6.129 0.138
O 4.710 9.115 3.051
O 5.119 5.554 3.528
O 5.649 10.818 5.743
O 5.797 4.063 5.923
O 5.307 3.351 2.497
O 6.385 7.561 5.036
O 7.269 7.175 8.499
```

Below is a geometry-optimized NaFe2O4 structure, with properties calculated at the PBE with a Hubbard U level. Values from VASP.

## Properties
SG: Fd-3m
Excess energy over the best structure of this formula in the dataset in kcal/mol of atoms: 3.70

Cell and atoms, written as Quantum ESPRESSO input:
```
&SYSTEM
  ibrav = 0, nat = 14, ntyp = 3
/
ATOMIC_SPECIES
Na 22.99 Na.upf
Fe 55.84 Fe.upf
O 16.00 O.upf
CELL_PARAMETERS angstrom
0.000 4.204 4.204
4.204 0.000 4.204
4.204 4.204 0.000
ATOMIC_POSITIONS angstrom
Na 1.051 1.051 1.051
Na 7.358 7.358 7.358
Fe 4.204 2.102 2.102
Fe 2.102 4.204 2.102
Fe 2.102 2.102 4.204
Fe 4.204 4.204 4.204
O 2.285 2.285 2.285
O 4.022 4.022 2.285
O 4.022 2.285 4.022
O 6.124 4.387 4.387
O 2.285 4.022 4.022
O 4.387 6.124 4.387
O 4.387 4.387 6.124
O 6.124 6.124 6.124
```

Below is a geometry-optimized Li4Co2P3O12 structure, with properties calculated at the PBE with a Hubbard U level. Values from VASP.

## Properties
SG: Pbcn
Excess energy over the best structure of this formula in the dataset in kcal/mol of atoms: 0.00

Cell and atoms, written as Quantum ESPRESSO input:
```
&SYSTEM
  ibrav = 0, nat = 84, ntyp = 4
/
ATOMIC_SPECIES
Li 6.94 Li.upf
Co 58.93 Co.upf
P 30.97 P.upf
O 16.00 O.upf
CELL_PARAMETERS angstrom
12.173 0.000 0.000
0.000 8.912 0.000
0.000 0.000 8.745
ATOMIC_POSITIONS angstrom
Li 2.186 1.807 2.089
Li 2.186 7.105 6.461
Li 2.580 3.997 0.635
Li 2.580 4.915 5.008
Li 3.506 0.459 5.008
Li 3.506 8.453 0.635
Li 3.900 2.649 6.461
Li 3.900 6.263 2.089
Li 8.273 2.649 6.656
Li 8.273 6.263 2.284
Li 8.666 0.459 8.110
Li 8.666 8.453 3.737
Li 9.593 3.997 3.737
Li 9.593 4.915 8.110
Li 9.986 1.807 2.284
Li 9.986 7.105 6.656
Co 1.284 2.237 4.745
Co 1.284 6.675 0.373
Co 4.802 2.219 0.373
Co 4.802 6.693 4.745
Co 7.370 2.219 4.000
Co 7.370 6.693 8.372
Co 10.889 2.237 8.372
Co 10.889 6.675 4.000
P 0.000 4.022 2.186
P 0.000 4.890 6.559
P 1.829 0.948 7.828
P 1.829 7.964 3.456
P 4.257 3.508 3.456
P 4.257 5.404 7.828
P 6.086 0.434 6.559
P 6.086 8.478 2.186
P 7.915 3.508 0.917
P 7.915 5.404 5.289
P 10.344 0.948 5.289
P 10.344 7.964 0.917
O 0.392 1.369 8.087
O 0.392 7.543 3.714
O 0.898 4.053 5.616
O 0.898 4.859 1.244
O 0.979 3.088 2.958
O 0.979 5.824 7.330
O 2.043 0.592 3.570
O 2.043 8.320 7.942
O 2.305 1.395 6.414
O 2.305 7.517 2.042
O 2.737 1.568 0.205
O 2.737 7.344 4.577
O 3.349 2.888 4.577
O 3.349 6.024 0.205
O 3.782 3.061 2.042
O 3.782 5.851 6.414
O 4.043 3.864 7.942
O 4.043 5.048 3.570
O 5.107 1.368 7.330
O 5.107 7.544 2.958
O 5.189 0.403 1.244
O 5.189 8.509 5.616
O 5.694 3.087 3.714
O 5.694 5.825 8.087
O 6.479 3.087 0.658
O 6.479 5.825 5.031
O 6.984 0.403 3.129
O 6.984 8.509 7.501
O 7.065 1.368 5.787
O 7.065 7.544 1.415
O 8.130 3.864 5.175
O 8.130 5.048 0.803
O 8.391 3.061 2.331
O 8.391 5.851 6.704
O 8.823 2.888 8.540
O 8.823 6.024 4.168
O 9.436 1.568 4.168
O 9.436 7.344 8.540
O 9.868 1.395 6.704
O 9.868 7.517 2.331
O 10.129 0.592 0.803
O 10.129 8.320 5.175
O 11.194 3.088 1.415
O 11.194 5.824 5.787
O 11.275 4.053 7.501
O 11.275 4.859 3.129
O 11.780 1.369 5.031
O 11.780 7.543 0.658
```

Below is a geometry-optimized MnP4O11 structure, with properties calculated at the PBE with a Hubbard U level. Values from VASP.

## Properties
SG: P-1
Excess energy over the best structure of this formula in the dataset in kcal/mol of atoms: 0.21

Cell and atoms, written as Quantum ESPRESSO input:
```
&SYSTEM
  ibrav = 0, nat = 64, ntyp = 3
/
ATOMIC_SPECIES
Mn 54.94 Mn.upf
P 30.97 P.upf
O 16.00 O.upf
CELL_PARAMETERS angstrom
9.483 0.000 0.000
-0.042 9.512 0.000
-3.534 -3.595 9.803
ATOMIC_POSITIONS angstrom
Mn 0.386 0.750 4.866
Mn 2.303 7.253 0.197
Mn 3.605 -1.336 9.606
Mn 5.522 5.166 4.936
P -1.851 1.509 7.381
P -2.267 -1.094 8.927
P -1.750 5.910 7.489
P 0.806 4.117 3.834
P 0.479 6.675 5.513
P 2.926 -0.051 2.738
P 3.802 2.093 0.768
P 3.315 4.683 2.302
P 2.593 1.234 7.501
P 2.106 3.824 9.035
P 2.982 5.967 7.065
P 5.428 -0.758 4.290
P 5.102 1.800 5.969
P 7.658 0.007 2.314
P 8.175 7.011 0.876
P 7.759 4.408 2.422
O 0.073 7.118 0.395
O -0.636 0.588 2.981
O -1.392 0.977 6.069
O -0.091 4.204 2.527
O -1.877 -1.968 7.670
O -1.793 0.339 8.522
O -1.254 2.692 8.046
O -0.531 5.881 6.402
O 0.084 -1.547 4.962
O -1.234 5.418 8.793
O 0.429 3.095 4.825
O 2.264 2.134 0.324
O 0.847 5.631 4.359
O 2.117 8.496 1.915
O 2.556 5.419 1.256
O 2.249 3.888 3.268
O 2.268 0.804 3.764
O 1.563 0.580 6.659
O 1.790 6.834 6.363
O 3.866 0.891 1.772
O 4.025 3.375 1.648
O 1.262 -1.593 9.486
O 4.646 7.510 0.317
O 1.883 2.542 8.155
O 2.042 5.026 8.030
O 4.117 -0.917 3.440
O 4.345 5.337 3.144
O 3.640 5.113 6.038
O 3.659 2.029 6.535
O 3.352 0.498 8.547
O 3.791 -2.579 7.888
O 5.061 0.286 5.444
O 3.644 3.783 9.478
O 5.479 2.822 4.977
O 7.142 0.499 1.009
O 5.824 7.464 4.841
O 6.439 0.036 3.401
O 7.162 3.224 1.757
O 7.701 5.578 1.281
O 7.785 7.885 2.133
O 5.998 1.713 7.275
O 7.300 4.940 3.734
O 6.544 5.329 6.821
O 5.835 -1.201 9.408
```

Below is a geometry-optimized LiCo6O2F10 structure, with properties calculated at the PBE with a Hubbard U level. Values from VASP.

## Properties
SG: P1
Excess energy over the best structure of this formula in the dataset in kcal/mol of atoms: 5.17

Cell and atoms, written as Quantum ESPRESSO input:
```
&SYSTEM
  ibrav = 0, nat = 19, ntyp = 4
/
ATOMIC_SPECIES
Li 6.94 Li.upf
Co 58.93 Co.upf
O 16.00 O.upf
F 19.00 F.upf
CELL_PARAMETERS angstrom
4.808 0.000 0.000
0.042 4.825 0.000
0.073 0.014 9.693
ATOMIC_POSITIONS angstrom
Li 0.000 0.000 0.000
Co 1.263 3.577 6.374
Co 1.318 3.554 3.369
Co 1.640 3.189 0.324
Co 3.499 1.323 4.876
Co 3.631 1.174 7.980
Co 3.936 0.919 1.916
O 0.585 4.272 1.708
O 2.147 2.710 4.797
F 0.267 4.590 4.851
F 0.328 4.550 7.945
F 2.251 2.609 8.177
F 2.489 2.381 1.893
F 2.645 0.261 6.465
F 2.778 0.155 3.368
F 2.895 0.052 0.030
F 4.556 2.161 6.478
F 4.698 2.048 3.391
F 4.747 1.885 0.063
```

Below is a geometry-optimized Sr2FeOsO6 structure, with properties calculated at the PBE with a Hubbard U level. Values from VASP.

## Properties
Final energy in eV/atom: -6.971

Cell and atoms, written as Quantum ESPRESSO input:
```
&SYSTEM
  ibrav = 0, nat = 20, ntyp = 4
/
ATOMIC_SPECIES
O 16.00 O.upf
Sr 87.62 Sr.upf
Os 190.23 Os.upf
Fe 55.84 Fe.upf
CELL_PARAMETERS angstrom
-3.970 -3.970 0.000
0.000 0.000 -8.006
3.970 -3.970 0.000
ATOMIC_POSITIONS angstrom
O 0.000 0.000 -5.976
O 0.000 0.000 -2.031
O 2.005 -3.970 -4.003
O 0.000 -2.005 0.000
O -1.965 -3.970 0.000
O 0.000 -3.970 -1.973
O 0.000 -5.974 -4.003
O -2.005 -3.970 -4.003
O 0.000 -3.970 -6.034
O 0.000 -1.965 -4.003
O 0.000 -5.935 0.000
O 1.965 -3.970 0.000
Sr -1.985 -1.985 -6.005
Sr 1.985 -1.985 -6.005
Sr -1.985 -1.985 -2.002
Sr 1.985 -1.985 -2.002
Os 0.000 0.000 -4.003
Os 0.000 -3.970 0.000
Fe 0.000 -7.938 -8.006
Fe 0.001 -3.969 -4.003
```